# 1
A plane-wave DFT calculation with PBE-GGA was carried out for crystalline HfFeGe2 at its relaxed geometry.

a = 9.1138 Å, b = 10.1523 Å, c = 7.9192 Å
α = 90.00°, β = 90.00°, γ = 90.00°
Closest atoms and distances in Å follow each position.
Sites, in units of the cell vectors:
Hf  0.1647  0.1790  0.0000  7 Ge 2.72-2.92
Hf  0.1741  0.4510  0.2438  8 Ge 2.70-2.96, 2 Fe 2.98-3.01
Hf  0.1741  0.4510  0.7562  8 Ge 2.70-2.96, 2 Fe 2.98-3.01
Hf  0.3259  0.9510  0.2438  8 Ge 2.70-2.96, 2 Fe 2.98-3.01
Hf  0.3259  0.9510  0.7562  8 Ge 2.70-2.96, 2 Fe 2.98-3.01
Hf  0.3353  0.6790  0.0000  7 Ge 2.72-2.92
Hf  0.6647  0.3210  0.0000  7 Ge 2.72-2.92
Hf  0.6741  0.0490  0.2438  8 Ge 2.70-2.96, 2 Fe 2.98-3.01
Hf  0.6741  0.0490  0.7562  8 Ge 2.70-2.96, 2 Fe 2.98-3.01
Hf  0.8259  0.5490  0.2438  8 Ge 2.70-2.96, 2 Fe 2.98-3.01
Hf  0.8259  0.5490  0.7562  8 Ge 2.70-2.96, 2 Fe 2.98-3.01
Hf  0.8353  0.8210  0.0000  7 Ge 2.72-2.92
Fe  0.0000  0.0000  0.2451  6 Ge 2.46-2.52, 2 Fe 2.71
Fe  0.0000  0.0000  0.7549  6 Ge 2.46-2.52, 2 Fe 2.71
Fe  0.0919  0.7463  0.2494  6 Ge 2.39-2.55
Fe  0.0919  0.7463  0.7506  6 Ge 2.39-2.55
Fe  0.4081  0.2463  0.2494  6 Ge 2.39-2.55
Fe  0.4081  0.2463  0.7506  6 Ge 2.39-2.55
Fe  0.5000  0.5000  0.2451  6 Ge 2.46-2.52, 2 Fe 2.71
Fe  0.5000  0.5000  0.7549  6 Ge 2.46-2.52, 2 Fe 2.71
Fe  0.5919  0.7537  0.2494  6 Ge 2.39-2.55
Fe  0.5919  0.7537  0.7506  6 Ge 2.39-2.55
Fe  0.9081  0.2537  0.2494  6 Ge 2.39-2.55
Fe  0.9081  0.2537  0.7506  6 Ge 2.39-2.55
Ge  0.0405  0.6202  0.0000  2 Fe 2.40, 1 Ge 2.55
Ge  0.0475  0.6212  0.5000  2 Fe 2.39, 1 Ge 2.61
Ge  0.1242  0.9013  0.5000  4 Fe 2.52-2.55, 2 Hf 2.78
Ge  0.1277  0.8978  0.0000  4 Fe 2.49-2.52, 3 Hf 2.70-2.78
Ge  0.1585  0.1808  0.3434  3 Fe 2.46-2.51, 1 Ge 2.48, 1 Hf 2.72
Ge  0.1585  0.1808  0.6566  3 Fe 2.46-2.51, 1 Ge 2.48, 1 Hf 2.72
Ge  0.3415  0.6808  0.3434  3 Fe 2.46-2.51, 1 Ge 2.48, 1 Hf 2.72
Ge  0.3415  0.6808  0.6566  3 Fe 2.46-2.51, 1 Ge 2.48, 1 Hf 2.72
Ge  0.3723  0.3978  0.0000  4 Fe 2.49-2.52, 3 Hf 2.70-2.78
Ge  0.3758  0.4013  0.5000  4 Fe 2.52-2.55, 2 Hf 2.78
Ge  0.4525  0.1212  0.5000  2 Fe 2.39, 1 Ge 2.61
Ge  0.4595  0.1202  0.0000  2 Fe 2.40, 1 Ge 2.55
Ge  0.5405  0.8798  0.0000  2 Fe 2.40, 1 Ge 2.55
Ge  0.5475  0.8788  0.5000  2 Fe 2.39, 1 Ge 2.61
Ge  0.6242  0.5987  0.5000  4 Fe 2.52-2.55, 2 Hf 2.78
Ge  0.6277  0.6022  0.0000  4 Fe 2.49-2.52, 3 Hf 2.70-2.78
Ge  0.6585  0.3192  0.3434  3 Fe 2.46-2.51, 1 Ge 2.48, 1 Hf 2.72
Ge  0.6585  0.3192  0.6566  3 Fe 2.46-2.51, 1 Ge 2.48, 1 Hf 2.72
Ge  0.8415  0.8192  0.3434  3 Fe 2.46-2.51, 1 Ge 2.48, 1 Hf 2.72
Ge  0.8415  0.8192  0.6566  3 Fe 2.46-2.51, 1 Ge 2.48, 1 Hf 2.72
Ge  0.8723  0.1022  0.0000  4 Fe 2.49-2.52, 3 Hf 2.70-2.78
Ge  0.8758  0.0987  0.5000  4 Fe 2.52-2.55, 2 Hf 2.78
Ge  0.9525  0.3788  0.5000  2 Fe 2.39, 1 Ge 2.61
Ge  0.9595  0.3798  0.0000  2 Fe 2.40, 1 Ge 2.55

- Total magnetic moment: 0.0 μB/f.u.
- Theoretical density: 10.32 g/cm3

# 2
A plane-wave DFT calculation with PBE-GGA was carried out for crystalline HfFeGe at its relaxed geometry.

a = 6.5227 Å, b = 6.5227 Å, c = 3.7319 Å
α = 90.00°, β = 90.00°, γ = 120.00°
Closest atoms and distances in Å follow each position.
Sites, in units of the cell vectors:
Hf  0.0000  0.5827  0.0000  5 Ge 2.71-2.72, 6 Fe 2.91-3.01
Hf  0.4173  0.4173  0.0000  5 Ge 2.71-2.72, 6 Fe 2.91-3.01
Hf  0.5827  0.0000  0.0000  5 Ge 2.71-2.72, 6 Fe 2.91-3.01
Fe  0.0000  0.2398  0.5000  4 Ge 2.43-2.54, 2 Fe 2.71
Fe  0.2398  0.0000  0.5000  4 Ge 2.43-2.54, 2 Fe 2.71
Fe  0.7602  0.7602  0.5000  4 Ge 2.43-2.54, 2 Fe 2.71
Ge  0.0000  0.0000  0.0000  6 Fe 2.43, 3 Hf 2.72
Ge  0.3333  0.6667  0.5000  3 Fe 2.54, 6 Hf 2.71
Ge  0.6667  0.3333  0.5000  3 Fe 2.54, 6 Hf 2.71

- Theoretical density: 11.12 g/cm3

Number 1: formation energy from the elements -10.5 kcal/mol of atoms, uncorrected energy -353.95 eV per cell. Number 2: formation energy from the elements -12.5 kcal/mol of atoms, uncorrected energy -74.04 eV per cell.